Compound: IrOs2Br
Source: the Materials Project database
Functional: PBE
Structure: optimized geometry

Geometry as POSCAR:
```
IrOs2Br
1.0
0.000 3.152 3.152
3.152 0.000 3.152
3.152 3.152 0.000
Ir Os Br
1 2 1
Cartesian
0.000 0.000 0.000
1.576 1.576 1.576
4.727 4.727 4.727
3.152 3.152 3.152
```

## Properties
The value obtained for the raw total energy is -6.88 eV per atom. For the energy of formation from the pure elements, the calculation gives 4.89 eV per formula unit. The total moment comes out at 0.002 Bohr magnetons per cell.

Compound: IrPbBr
Source: the Materials Project database
Functional: PBE
Structure: optimized geometry

Geometry as POSCAR:
```
IrPbBr
1.0
0.000 3.426 3.426
3.426 0.000 3.426
3.426 3.426 0.000
Ir Pb Br
1 1 1
Cartesian
0.000 0.000 0.000
5.138 5.138 5.138
3.426 3.426 3.426
```

## Properties
The value obtained for the raw total energy is -3.75 eV per atom. For the energy of formation from the pure elements, the calculation gives 2.42 eV per formula unit. The total moment comes out at 0.000 Bohr magnetons per cell.

Compound: Pr3IrBr3
Source: the Materials Project database
Functional: PBE
Structure: optimized geometry

Geometry as POSCAR:
```
Pr3IrBr3
1.0
-6.105 6.105 6.105
6.105 -6.105 6.105
6.105 6.105 -6.105
Pr Ir Br
12 4 12
Cartesian
1.725 1.526 -1.328
7.432 1.725 -1.526
1.526 -1.328 1.725
4.777 4.380 -1.526
4.380 1.526 1.328
-1.328 1.725 1.526
4.380 -1.526 4.777
1.526 1.328 4.380
1.328 4.380 1.526
1.725 -1.526 7.432
-1.526 7.432 1.725
-1.526 4.777 4.380
4.579 1.526 -1.526
1.526 1.526 1.526
1.526 -1.526 4.579
-1.526 4.579 1.526
7.631 1.464 1.589
7.631 -1.464 4.516
4.516 7.631 -1.464
4.641 1.589 4.579
4.579 4.641 1.589
1.589 7.631 1.464
7.569 4.516 4.579
1.589 4.579 4.641
1.464 1.589 7.631
4.579 7.569 4.516
-1.464 4.516 7.631
4.516 4.579 7.569
```

## Properties
The value obtained for the raw total energy is -5.43 eV per atom. For the energy of formation from the pure elements, the calculation gives -11.51 eV per formula unit.

Compound: Tb5IrBr9
Source: the Materials Project database
Functional: PBE
Structure: optimized geometry

Geometry as POSCAR:
```
Tb5IrBr9
1.0
-6.528 6.528 23.173
6.528 -6.528 23.173
6.528 6.528 -23.173
Tb Ir Br
40 8 72
Cartesian
8.380 -2.665 9.776
4.203 -3.868 15.971
7.127 1.412 -1.810
5.869 -1.155 7.353
3.599 -0.172 4.461
8.380 3.863 -9.776
4.419 2.605 -4.234
9.620 -0.335 7.126
0.640 1.279 1.563
2.325 3.868 -7.202
7.132 0.939 4.384
8.637 3.924 -4.234
5.869 5.373 -7.353
3.092 -0.335 16.048
5.929 5.116 -1.810
3.599 6.356 -4.461
-1.985 2.624 10.024
5.888 -1.279 24.736
0.604 0.939 18.789
4.543 2.624 13.150
1.985 3.904 10.024
5.924 5.589 4.384
0.640 7.807 -1.563
8.513 3.904 13.150
2.929 0.172 27.635
0.599 1.412 24.984
3.436 6.863 7.126
0.659 1.155 30.526
-2.109 2.605 27.407
-0.604 5.589 18.789
4.203 2.660 30.376
5.888 5.249 21.611
-3.092 6.863 16.048
2.109 3.924 27.407
-1.852 2.665 32.950
2.929 6.701 18.712
0.659 7.683 15.821
-0.599 5.116 24.984
2.325 10.396 7.202
-1.852 9.193 13.397
7.064 1.549 -4.529
4.813 2.728 -7.058
8.244 3.800 -7.058
5.992 4.980 -4.529
0.536 1.549 27.703
-1.716 2.728 30.231
1.716 3.800 30.231
-0.536 4.980 27.703
8.680 3.966 -13.037
3.274 -0.056 1.543
5.788 5.043 -15.872
0.734 1.160 -1.305
8.680 -2.562 13.037
4.770 -4.081 18.827
9.949 0.197 4.289
7.231 1.112 1.450
5.912 -1.305 10.445
3.067 0.157 7.298
5.912 5.224 -10.445
4.569 2.648 -1.142
0.933 1.268 4.277
9.737 -0.010 10.043
1.758 4.081 -4.347
5.788 -1.485 15.872
4.733 -3.861 24.602
7.345 1.506 7.240
8.488 3.880 -1.142
3.209 -0.010 13.130
4.749 2.524 4.285
1.795 3.861 1.428
0.597 1.469 10.159
-1.996 2.331 7.310
3.067 6.685 -7.298
5.794 -1.160 21.869
7.125 1.469 13.015
8.308 4.004 4.285
4.424 2.530 10.282
3.421 0.197 18.884
5.826 5.416 1.450
0.817 1.506 15.934
3.274 6.473 -1.543
-2.104 2.530 12.891
1.996 4.197 7.310
-0.933 5.260 4.277
7.461 1.268 18.896
4.532 2.331 15.864
8.632 3.999 10.282
3.254 0.056 24.717
5.711 5.022 7.240
0.702 1.112 21.723
3.107 6.332 4.289
2.104 3.999 12.891
-1.779 2.524 18.889
-0.597 5.059 10.159
0.734 7.689 1.305
3.461 -0.157 30.471
8.524 4.197 15.864
5.931 5.059 13.015
4.733 2.667 21.745
1.779 4.004 18.889
3.320 6.538 10.043
-1.960 2.648 24.315
-0.817 5.022 15.934
1.795 10.389 -1.428
0.740 8.013 7.302
4.770 2.447 27.520
-3.209 6.538 13.130
5.595 5.260 18.896
1.960 3.880 24.315
0.616 1.305 33.619
3.461 6.372 15.876
0.616 7.833 12.728
-0.702 5.416 21.723
-3.421 6.332 18.884
1.758 10.610 4.347
-2.152 9.090 10.136
5.794 5.368 24.478
0.740 1.485 39.045
3.254 6.584 21.630
-2.152 2.562 36.211
```

## Properties
The value obtained for the raw total energy is -4.81 eV per atom. For the energy of formation from the pure elements, the calculation gives -30.22 eV per formula unit. The total moment comes out at 0.018 Bohr magnetons per cell.

Compound: Te7IrBr7
Source: the Materials Project database
Functional: PBE
Structure: optimized geometry

Geometry as POSCAR:
```
Te7IrBr7
1.0
9.899 0.000 0.000
-3.953 9.718 0.000
-4.764 -2.949 10.691
Te Ir Br
14 2 14
Cartesian
-1.458 1.837 2.433
-5.158 6.639 5.622
-4.768 2.041 8.431
-2.615 3.750 5.675
-2.707 6.429 4.184
-2.220 1.295 7.330
-3.536 5.631 8.978
4.718 1.139 1.714
3.402 5.475 3.361
3.889 0.341 6.507
3.797 3.020 5.017
5.951 4.728 2.260
6.340 0.130 5.069
2.640 4.933 8.258
-4.889 4.370 7.052
6.071 2.400 3.640
-2.890 -2.146 8.717
-1.665 7.441 0.051
-0.526 4.514 2.539
-0.225 0.949 4.949
2.234 1.235 2.357
0.591 -1.648 7.575
-2.899 3.398 10.451
4.081 3.372 0.240
0.591 8.418 3.117
-1.052 5.534 8.334
1.407 5.821 5.742
1.708 2.255 8.153
2.847 -0.672 10.640
4.072 8.916 1.974
```

## Properties
The value obtained for the raw total energy is -3.14 eV per atom. For the energy of formation from the pure elements, the calculation gives -8.46 eV per formula unit. The total moment comes out at 0.000 Bohr magnetons per cell.

Compound: KBr
Source: the Materials Project database
Functional: PBE
Structure: optimized geometry

Geometry as POSCAR:
```
KBr
1.0
4.043 0.000 0.000
0.000 4.043 0.000
0.000 0.000 4.043
K Br
1 1
Cartesian
0.000 0.000 0.000
2.022 2.022 2.022
```

## Properties
The value obtained for the raw total energy is -3.06 eV per atom. For the energy of formation from the pure elements, the calculation gives -3.91 eV per formula unit. The total moment comes out at 0.000 Bohr magnetons per cell.

Compound: KBr3
Source: the Materials Project database
Functional: PBE
Structure: optimized geometry

Geometry as POSCAR:
```
KBr3
1.0
6.451 0.000 0.000
-3.225 5.587 0.000
0.000 0.000 7.716
K Br
2 6
Cartesian
0.000 3.724 1.929
3.225 1.862 5.787
0.000 1.870 5.787
-1.606 4.652 5.787
1.620 0.935 1.929
1.606 4.652 5.787
4.831 0.935 1.929
3.225 3.716 1.929
```

## Properties
The value obtained for the raw total energy is -2.14 eV per atom. For the energy of formation from the pure elements, the calculation gives -4.13 eV per formula unit.

Compound: KBr
Source: the Materials Project database
Functional: PBE
Structure: optimized geometry

Geometry as POSCAR:
```
KBr
1.0
0.000 3.352 3.352
3.352 0.000 3.352
3.352 3.352 0.000
K Br
1 1
Cartesian
0.000 0.000 0.000
3.352 3.352 3.352
```

## Properties
The value obtained for the raw total energy is -3.14 eV per atom. For the energy of formation from the pure elements, the calculation gives -4.06 eV per formula unit.

Compound: K2LiPrBr6
Source: the Materials Project database
Functional: PBE
Structure: optimized geometry

Geometry as POSCAR:
```
K2LiPrBr6
1.0
0.000 5.619 5.619
5.619 0.000 5.619
5.619 5.619 0.000
K Li Pr Br
2 1 1 6
Cartesian
2.810 2.810 2.810
8.429 8.429 8.429
0.000 0.000 0.000
5.619 5.619 5.619
5.619 5.619 2.727
5.619 2.727 5.619
8.512 5.619 5.619
2.727 5.619 5.619
5.619 8.512 5.619
5.619 5.619 8.512
```

## Properties
The value obtained for the raw total energy is -3.62 eV per atom. For the energy of formation from the pure elements, the calculation gives -20.63 eV per formula unit. The total moment comes out at 0.003 Bohr magnetons per cell.

Compound: K4MnBr6
Source: the Materials Project database
Functional: PBE
Structure: optimized geometry

Geometry as POSCAR:
```
K4MnBr6
1.0
6.422 3.708 5.267
-6.422 3.708 5.267
0.000 -7.416 5.267
K Mn Br
8 2 12
Cartesian
-3.993 0.499 6.584
0.000 0.000 3.950
-2.429 -3.209 9.218
1.564 -3.708 6.584
-1.564 3.708 9.218
2.429 3.209 6.584
0.000 0.000 11.851
3.993 -0.499 9.218
0.000 0.000 0.000
0.000 0.000 7.901
-5.618 -1.623 8.961
-1.403 -5.677 6.840
-1.403 -1.738 6.328
-4.215 4.054 6.840
-0.804 2.085 6.328
-2.207 0.346 9.474
2.207 -0.346 6.328
0.804 -2.085 9.474
4.215 -4.054 8.961
1.403 1.738 9.474
1.403 5.677 8.961
5.618 1.623 6.840
```

## Properties
The value obtained for the raw total energy is -3.63 eV per atom. For the energy of formation from the pure elements, the calculation gives -19.74 eV per formula unit.

Compound: KMnBr3
Source: the Materials Project database
Functional: PBE
Structure: optimized geometry

Geometry as POSCAR:
```
KMnBr3
1.0
9.462 0.000 0.000
0.000 4.099 0.000
0.000 0.000 15.448
K Mn Br
4 4 12
Cartesian
0.650 1.025 2.734
4.081 3.074 10.459
5.381 1.025 4.990
8.812 3.074 12.714
1.564 3.074 6.896
3.167 1.025 14.620
6.295 3.074 0.828
7.898 1.025 8.552
0.180 3.074 9.262
1.645 3.074 0.125
2.054 1.025 12.292
2.677 3.074 4.568
3.086 1.025 7.849
4.552 1.025 1.538
4.911 3.074 13.910
6.376 3.074 7.599
6.785 1.025 10.881
7.408 3.074 3.157
7.817 1.025 15.323
9.283 1.025 6.186
```

## Properties
The value obtained for the raw total energy is -4.23 eV per atom. For the energy of formation from the pure elements, the calculation gives -7.56 eV per formula unit.

Compound: KMo3Br7
Source: the Materials Project database
Functional: PBE
Structure: optimized geometry

Geometry as POSCAR:
```
KMo3Br7
1.0
14.128 0.000 0.000
0.000 14.353 0.000
0.000 0.000 14.393
K Mo Br
8 24 56
Cartesian
0.000 0.000 0.000
0.000 7.176 7.197
3.532 3.588 3.598
3.532 3.588 10.795
7.064 0.000 7.197
7.064 7.176 0.000
10.596 10.765 3.598
10.596 10.765 10.795
0.432 1.729 6.603
0.432 5.447 0.593
0.585 0.453 8.923
0.585 6.724 12.667
1.732 7.763 0.431
1.732 13.767 6.765
5.332 7.763 6.765
5.332 13.767 0.431
6.480 0.453 12.667
6.480 6.724 8.923
6.632 1.729 0.593
6.632 5.447 6.603
7.496 8.906 7.790
7.496 12.624 13.800
7.649 7.629 5.470
7.649 13.900 1.726
8.796 0.586 13.962
8.796 6.590 7.628
12.396 0.586 7.628
12.396 6.590 13.962
13.544 7.629 1.726
13.544 13.900 5.470
13.696 8.906 13.800
13.696 12.624 7.790
0.713 9.903 1.547
0.713 11.626 5.650
1.087 3.000 1.394
1.087 4.176 5.803
1.375 1.107 11.371
1.375 6.070 10.219
1.559 0.671 4.461
1.559 6.506 2.736
1.856 9.023 12.520
1.856 12.506 9.070
2.721 1.584 7.881
2.721 5.593 13.709
2.916 8.531 6.146
2.916 12.999 1.050
4.148 8.531 1.050
4.148 12.999 6.146
4.343 1.584 13.709
4.343 5.593 7.881
5.208 9.023 9.070
5.208 12.506 12.520
5.505 0.671 2.736
5.505 6.506 4.461
5.689 1.107 10.219
5.689 6.070 11.371
5.977 3.000 5.803
5.977 4.176 1.394
6.351 9.903 5.650
6.351 11.626 1.547
7.778 2.727 12.847
7.778 4.450 8.743
8.151 10.177 12.999
8.151 11.352 8.591
8.439 8.283 3.023
8.439 13.246 4.174
8.623 7.847 9.933
8.623 13.682 11.657
8.920 1.847 1.873
8.920 5.330 5.324
9.785 8.760 6.512
9.785 12.769 0.684
9.981 1.354 8.247
9.981 5.822 13.343
11.212 1.354 13.343
11.212 5.822 8.247
11.408 8.760 0.684
11.408 12.769 6.512
12.272 1.847 5.324
12.272 5.330 1.873
12.569 7.847 11.657
12.569 13.682 9.933
12.753 8.283 4.174
12.753 13.246 3.023
13.042 10.177 8.591
13.042 11.352 12.999
13.415 2.727 8.743
13.415 4.450 12.847
```

## Properties
The value obtained for the raw total energy is -4.99 eV per atom. For the energy of formation from the pure elements, the calculation gives -13.48 eV per formula unit. The total moment comes out at 0.004 Bohr magnetons per cell.